DFT (PBE) results for a relaxed structure of PtO.

Output
M_tot = 0.000 μB per atom

a b c (Å): 4.6257 4.6257 4.6257
angles (deg): 90.00 90.00 90.00
Closest atoms and distances in Å follow each position.
Space group Fm-3m (No. 225)
Unique sites:
Pt 0.0000 0.0000 0.0000  6 O 2.31
O 0.0000 0.0000 0.5000  6 Pt 2.31

DFT (PBE) results for a relaxed structure of PtO2.

a b c (Å): 4.5547 4.6114 3.1918
angles (deg): 90.00 90.00 90.00
Closest atoms and distances in Å follow each position.
Space group Pnnm (No. 58)
Unique sites:
Pt 0.0000 0.0000 0.0000  6 O 2.04
O 0.1376 0.2408 0.5000  3 Pt 2.04

DFT (PBE) results for a relaxed structure of PtO2.

Output
M_tot = 0.000 μB per atom

a b c (Å): 4.5961 4.5961 3.2500
angles (deg): 90.00 90.00 90.00
Closest atoms and distances in Å follow each position.
Space group P4_2/mnm (No. 136)
Unique sites:
Pt 0.0000 0.0000 0.0000  6 O 2.01-2.04
O 0.1904 0.1904 0.5000  3 Pt 2.01-2.04

What calculated formation energy values result from the calculations? In sequence: 206, -927, -886 meV/atom.